Record 1
Computed, not measured: a relaxed U4O7 crystal at the PBE level of DFT.

E in eV/atom: -10.3392
Energy relative to the elements in meV per atom: -3522
Crystal system: monoclinic
Space group: No. 15

Cell lengths 6.6514, 6.6514, 10.8536 Å; angles 114.03, 114.03, 48.54 degrees
Positions (direct):
U  0.1187  0.1378  0.4444
U  0.1378  0.1187  0.9444
U  0.3530  0.3881  0.8163
U  0.3881  0.3530  0.3163
U  0.6119  0.6470  0.6837
U  0.6470  0.6119  0.1837
U  0.8622  0.8813  0.0556
U  0.8813  0.8622  0.5556
O  0.0037  0.4979  0.3762
O  0.0145  0.5074  0.1310
O  0.2458  0.7542  0.7500
O  0.2472  0.7467  0.0112
O  0.2533  0.7528  0.4888
O  0.4926  0.9855  0.3690
O  0.4979  0.0037  0.8762
O  0.5021  0.9963  0.1238
O  0.5074  0.0145  0.6310
O  0.7467  0.2472  0.5112
O  0.7528  0.2533  0.9888
O  0.7542  0.2458  0.2500
O  0.9855  0.4926  0.8690
O  0.9963  0.5021  0.6238


Record 2
Computed, not measured: a relaxed Y2U3O11 crystal at the PBE level of DFT.

E in eV/atom: -9.4798
Energy relative to the elements in meV per atom: -3625
Crystal system: orthorhombic
Space group: No. 71

Cell lengths 9.9631, 9.9631, 9.9631 Å; angles 158.11, 148.29, 38.87 degrees
Positions (direct):
Y  0.2029  0.2029  0.0000
Y  0.7971  0.7971  0.0000
U  0.0000  0.0000  0.0000
U  0.4018  0.4018  0.0000
U  0.5982  0.5982  0.0000
O  0.0707  0.3075  0.7632
O  0.1377  0.8994  0.2383
O  0.2193  0.5000  0.7193
O  0.3389  0.1006  0.2383
O  0.4557  0.6925  0.7632
O  0.5000  0.0000  0.5000
O  0.5443  0.3075  0.2368
O  0.6611  0.8994  0.7617
O  0.7807  0.5000  0.2807
O  0.8623  0.1006  0.7617
O  0.9293  0.6925  0.2368


Record 3
Computed, not measured: a relaxed YU2O6 crystal at the PBE level of DFT.

E in eV/atom: -9.9382
Energy relative to the elements in meV per atom: -3870
Crystal system: orthorhombic
Space group: No. 71

Cell lengths 6.5679, 6.5679, 6.5679 Å; angles 146.18, 131.55, 60.39 degrees
Positions (direct):
Y  0.0000  0.0000  0.0000
U  0.3349  0.3349  0.0000
U  0.6651  0.6651  0.0000
O  0.0836  0.8296  0.2539
O  0.2588  0.5000  0.7588
O  0.4243  0.1704  0.2539
O  0.5757  0.8296  0.7461
O  0.7412  0.5000  0.2412
O  0.9164  0.1704  0.7461


Record 4
Computed, not measured: a relaxed Y10U4O27 crystal at the PBE level of DFT.

E in eV/atom: -9.3866
Energy relative to the elements in meV per atom: -3902
Crystal system: triclinic
Space group: No. 1

Cell lengths 6.5522, 6.5912, 13.1239 Å; angles 99.04, 99.11, 99.42 degrees
Positions (direct):
Y  0.0000  0.0000  0.0000
Y  0.0008  0.9668  0.4939
Y  0.1449  0.5286  0.6346
Y  0.1543  0.5396  0.1524
Y  0.2787  0.0972  0.7822
Y  0.4314  0.6813  0.4238
Y  0.4635  0.6965  0.9295
Y  0.5525  0.2462  0.0650
Y  0.5573  0.2468  0.5627
Y  0.7082  0.8174  0.2007
U  0.2838  0.0962  0.2782
U  0.7095  0.8183  0.7003
U  0.8393  0.3800  0.8433
U  0.8572  0.4031  0.3540
O  0.0082  0.8432  0.6623
O  0.0506  0.8511  0.1522
O  0.1093  0.6455  0.4788
O  0.1488  0.4521  0.8256
O  0.1728  0.4220  0.3077
O  0.2382  0.2146  0.6240
O  0.2470  0.2126  0.1351
O  0.3016  0.9801  0.9411
O  0.3145  0.0129  0.4289
O  0.3938  0.7960  0.2666
O  0.4254  0.7791  0.7587
O  0.4433  0.5711  0.0756
O  0.4864  0.5840  0.5870
O  0.5328  0.3545  0.3950
O  0.5453  0.3480  0.8927
O  0.5899  0.1392  0.2335
O  0.6075  0.1275  0.7224
O  0.6798  0.9316  0.5521
O  0.6892  0.9520  0.0487
O  0.7631  0.6994  0.3703
O  0.7976  0.6987  0.8780
O  0.8082  0.4876  0.6940
O  0.8179  0.4784  0.2013
O  0.8838  0.2976  0.4976
O  0.9257  0.3436  0.0005
O  0.9311  0.0674  0.8272
O  0.9641  0.0805  0.3241


Record 5
Computed, not measured: a relaxed Y9U5O28 crystal at the PBE level of DFT.

E in eV/atom: -9.4774
Energy relative to the elements in meV per atom: -3907
Crystal system: triclinic
Space group: No. 2

Cell lengths 6.5311, 7.5957, 11.8808 Å; angles 73.00, 80.18, 73.81 degrees
Positions (direct):
Y  0.0000  0.0000  0.0000
Y  0.1422  0.3566  0.7156
Y  0.1429  0.8568  0.7139
Y  0.2825  0.2152  0.4302
Y  0.4313  0.5695  0.1430
Y  0.5687  0.4305  0.8570
Y  0.7175  0.7848  0.5698
Y  0.8571  0.1432  0.2861
Y  0.8578  0.6434  0.2844
U  0.0000  0.5000  0.0000
U  0.2817  0.7154  0.4297
U  0.4294  0.0727  0.1448
U  0.5706  0.9273  0.8552
U  0.7183  0.2846  0.5703
O  0.0572  0.1780  0.6073
O  0.0759  0.6713  0.0964
O  0.0806  0.6736  0.6011
O  0.0920  0.1751  0.1092
O  0.2021  0.5389  0.8337
O  0.2218  0.0281  0.3177
O  0.2235  0.5441  0.3296
O  0.2329  0.0305  0.8271
O  0.3536  0.8840  0.5266
O  0.3591  0.3768  0.0395
O  0.3696  0.8977  0.0398
O  0.3706  0.3971  0.5386
O  0.4909  0.7603  0.2541
O  0.4923  0.2420  0.2471
O  0.5077  0.7580  0.7529
O  0.5091  0.2397  0.7459
O  0.6294  0.6029  0.4614
O  0.6304  0.1023  0.9602
O  0.6409  0.6232  0.9605
O  0.6464  0.1160  0.4734
O  0.7671  0.9695  0.1729
O  0.7765  0.4559  0.6704
O  0.7782  0.9719  0.6823
O  0.7979  0.4611  0.1663
O  0.9080  0.8249  0.8908
O  0.9194  0.3264  0.3989
O  0.9241  0.3287  0.9036
O  0.9428  0.8220  0.3927


Record 6
Computed, not measured: a relaxed Y3U2O10 crystal at the PBE level of DFT.

E in eV/atom: -9.5505
Energy relative to the elements in meV per atom: -3911
Crystal system: monoclinic
Space group: No. 12

Cell lengths 6.4726, 6.4726, 8.3711 Å; angles 128.45, 128.45, 49.00 degrees
Positions (direct):
Y  0.0000  0.0000  0.0000
Y  0.3977  0.3977  0.5958
Y  0.6023  0.6023  0.4042
U  0.1968  0.1968  0.7942
U  0.8032  0.8032  0.2058
O  0.0530  0.5372  0.7084
O  0.1449  0.6447  0.1064
O  0.2338  0.7662  0.5000
O  0.3553  0.8551  0.8936
O  0.4628  0.9470  0.2916
O  0.5372  0.0530  0.7084
O  0.6447  0.1449  0.1064
O  0.7662  0.2338  0.5000
O  0.8551  0.3553  0.8936
O  0.9470  0.4628  0.2916